First-principles (PBE+U) data for a relaxed Ca2CrWO6 crystal, as listed in the Materials Project.

POSCAR file:
```
Ca2CrWO6
1.0
5.457 0.000 0.000
0.000 5.580 0.000
-5.362 0.000 7.844
Ca Cr W O
4 2 2 12
direct
0.236 0.048 0.246
0.236 0.452 0.746
0.764 0.548 0.254
0.764 0.952 0.754
0.000 0.000 0.500
0.000 0.500 0.000
0.500 0.000 0.000
0.500 0.500 0.500
0.154 0.208 0.952
0.154 0.292 0.452
0.257 0.713 0.955
0.257 0.787 0.455
0.338 0.027 0.748
0.338 0.473 0.248
0.662 0.527 0.752
0.662 0.973 0.252
0.743 0.213 0.545
0.743 0.287 0.045
0.846 0.708 0.548
0.846 0.792 0.048
```

Computed properties:
* formation enthalpy at 0 K: -27.877 eV/f.u.
* ΔE to the lowest computed polymorph: 0.000 eV/atom

***

First-principles (PBE+U) data for a relaxed Ca2YCrO5 crystal, as listed in the Materials Project.

POSCAR file:
```
Ca2YCrO5
1.0
-7.997 2.842 2.730
7.997 -2.842 2.730
7.997 2.842 -2.730
Ca Y Cr O
4 2 2 10
direct
0.027 0.097 0.124
0.027 0.403 0.429
0.973 0.597 0.571
0.973 0.903 0.876
0.495 0.790 0.205
0.585 0.290 0.795
0.484 0.484 0.000
0.484 0.984 0.500
0.027 0.697 0.830
0.385 0.088 0.550
0.385 0.335 0.797
0.497 0.221 0.238
0.497 0.758 0.776
0.538 0.588 0.203
0.538 0.835 0.450
0.867 0.197 0.170
0.983 0.258 0.762
0.983 0.721 0.224
```

Computed properties:
* formation enthalpy at 0 K: -28.152 eV/f.u.

***

First-principles (PBE+U) data for a relaxed Cs5CaNi4F15 crystal, as listed in the Materials Project.

POSCAR file:
```
Cs5CaNi4F15
1.0
6.315 0.000 0.000
-3.157 5.469 0.000
0.000 0.000 25.594
Cs Ca Ni F
10 2 8 30
direct
0.000 0.000 0.155
0.000 0.000 0.345
0.000 0.000 0.655
0.000 0.000 0.845
0.333 0.667 0.058
0.333 0.667 0.250
0.333 0.667 0.442
0.667 0.333 0.558
0.667 0.333 0.750
0.667 0.333 0.942
0.000 0.000 0.000
0.000 0.000 0.500
0.333 0.667 0.591
0.333 0.667 0.697
0.333 0.667 0.803
0.333 0.667 0.909
0.667 0.333 0.091
0.667 0.333 0.197
0.667 0.333 0.303
0.667 0.333 0.409
0.052 0.526 0.646
0.052 0.526 0.854
0.175 0.350 0.549
0.175 0.350 0.951
0.175 0.825 0.549
0.175 0.825 0.951
0.192 0.384 0.750
0.192 0.808 0.750
0.350 0.175 0.049
0.350 0.175 0.451
0.384 0.192 0.250
0.474 0.526 0.646
0.474 0.526 0.854
0.474 0.948 0.646
0.474 0.948 0.854
0.526 0.052 0.146
0.526 0.052 0.354
0.526 0.474 0.146
0.526 0.474 0.354
0.616 0.808 0.750
0.650 0.825 0.549
0.650 0.825 0.951
0.808 0.192 0.250
0.808 0.616 0.250
0.825 0.175 0.049
0.825 0.175 0.451
0.825 0.650 0.049
0.825 0.650 0.451
0.948 0.474 0.146
0.948 0.474 0.354
```

Computed properties:
* formation enthalpy at 0 K: -70.932 eV/f.u.

***

First-principles (PBE+U) data for a relaxed Cs2CaV2O7 crystal, as listed in the Materials Project.

POSCAR file:
```
Cs2CaV2O7
1.0
10.747 0.000 0.000
0.000 6.186 0.000
-7.173 0.000 14.030
Cs Ca V O
8 4 8 28
direct
0.015 0.233 0.150
0.015 0.267 0.650
0.467 0.228 0.328
0.467 0.272 0.828
0.533 0.728 0.172
0.533 0.772 0.672
0.985 0.733 0.350
0.985 0.767 0.850
0.264 0.244 0.515
0.264 0.256 0.015
0.736 0.744 0.985
0.736 0.756 0.485
0.165 0.738 0.132
0.165 0.762 0.632
0.329 0.729 0.378
0.329 0.771 0.878
0.671 0.229 0.122
0.671 0.271 0.622
0.835 0.238 0.368
0.835 0.262 0.868
0.013 0.215 0.428
0.013 0.285 0.928
0.204 0.697 0.756
0.204 0.803 0.256
0.225 0.546 0.592
0.225 0.954 0.092
0.247 0.000 0.629
0.247 0.500 0.129
0.278 0.019 0.902
0.278 0.481 0.402
0.312 0.571 0.947
0.312 0.929 0.447
0.494 0.720 0.386
0.494 0.780 0.886
0.506 0.220 0.114
0.506 0.280 0.614
0.688 0.071 0.553
0.688 0.429 0.053
0.722 0.519 0.598
0.722 0.981 0.098
0.753 0.000 0.371
0.753 0.500 0.871
0.775 0.046 0.908
0.775 0.454 0.408
0.796 0.197 0.744
0.796 0.303 0.244
0.987 0.715 0.072
0.987 0.785 0.572
```

Computed properties:
* formation enthalpy at 0 K: -31.648 eV/f.u.

***

First-principles (PBE+U) data for a relaxed CaFe2CuO5 crystal, as listed in the Materials Project.

POSCAR file:
```
CaFe2CuO5
1.0
5.266 -3.039 0.000
5.266 3.039 0.000
-0.070 0.000 27.377
Ca Fe Cu O
8 16 8 40
direct
0.079 0.921 0.500
0.087 0.253 0.802
0.253 0.087 0.302
0.586 0.749 0.006
0.749 0.586 0.506
0.758 0.920 0.800
0.920 0.758 0.300
0.921 0.079 0.000
0.092 0.253 0.609
0.092 0.912 0.694
0.250 0.585 0.401
0.253 0.092 0.109
0.258 0.417 0.014
0.417 0.258 0.514
0.423 0.581 0.788
0.581 0.423 0.288
0.583 0.749 0.193
0.585 0.250 0.901
0.589 0.751 0.898
0.747 0.927 0.610
0.749 0.583 0.693
0.751 0.589 0.398
0.912 0.092 0.194
0.927 0.747 0.110
0.085 0.754 0.901
0.089 0.249 0.906
0.249 0.089 0.406
0.256 0.417 0.196
0.415 0.586 0.607
0.417 0.256 0.696
0.586 0.415 0.107
0.754 0.085 0.401
0.056 0.950 0.616
0.060 0.251 0.689
0.082 0.418 0.361
0.094 0.902 0.361
0.123 0.247 0.538
0.127 0.883 0.765
0.225 0.419 0.125
0.247 0.123 0.038
0.251 0.060 0.189
0.258 0.897 0.941
0.260 0.422 0.943
0.289 0.420 0.266
0.411 0.552 0.538
0.418 0.082 0.861
0.419 0.225 0.625
0.420 0.289 0.766
0.420 0.755 0.442
0.421 0.610 0.679
0.422 0.260 0.443
0.436 0.574 0.858
0.552 0.411 0.038
0.574 0.436 0.358
0.585 0.719 0.265
0.587 0.783 0.114
0.596 0.923 0.361
0.610 0.421 0.179
0.713 0.960 0.539
0.719 0.585 0.765
0.722 0.935 0.944
0.755 0.420 0.942
0.782 0.889 0.689
0.783 0.587 0.614
0.883 0.127 0.265
0.889 0.782 0.189
0.897 0.258 0.441
0.902 0.094 0.861
0.923 0.596 0.861
0.935 0.722 0.444
0.950 0.056 0.116
0.960 0.713 0.039
```

Computed properties:
* formation enthalpy at 0 K: -16.542 eV/f.u.

***

First-principles (PBE+U) data for a relaxed CaFe2Cu2O8 crystal, as listed in the Materials Project.

POSCAR file:
```
CaFe2Cu2O8
1.0
6.501 0.000 0.000
0.000 8.666 0.000
-0.831 0.000 12.130
Ca Fe Cu O
4 8 8 32
direct
0.153 0.169 0.476
0.153 0.331 0.976
0.847 0.669 0.024
0.847 0.831 0.524
0.087 0.037 0.169
0.087 0.463 0.669
0.400 0.601 0.135
0.400 0.899 0.635
0.600 0.101 0.365
0.600 0.399 0.865
0.913 0.537 0.331
0.913 0.963 0.831
0.266 0.694 0.880
0.266 0.806 0.380
0.398 0.041 0.861
0.398 0.459 0.361
0.602 0.541 0.639
0.602 0.959 0.139
0.734 0.194 0.620
0.734 0.306 0.120
0.002 0.225 0.124
0.002 0.275 0.624
0.122 0.090 0.875
0.122 0.410 0.375
0.142 0.012 0.310
0.142 0.488 0.810
0.197 0.597 0.016
0.197 0.903 0.516
0.329 0.006 0.110
0.329 0.494 0.610
0.335 0.640 0.285
0.335 0.860 0.785
0.446 0.236 0.909
0.446 0.264 0.409
0.475 0.105 0.622
0.475 0.395 0.122
0.525 0.605 0.878
0.525 0.895 0.378
0.554 0.736 0.591
0.554 0.764 0.091
0.665 0.140 0.215
0.665 0.360 0.715
0.671 0.506 0.390
0.671 0.994 0.890
0.803 0.097 0.484
0.803 0.403 0.984
0.858 0.512 0.190
0.858 0.988 0.690
0.878 0.590 0.625
0.878 0.910 0.125
0.998 0.725 0.376
0.998 0.775 0.876
```

Computed properties:
* formation enthalpy at 0 K: -17.457 eV/f.u.

***

Number 1: total DFT energy (no corrections) -0.2706 Ha/atom. Number 2: total DFT energy (no corrections) -0.2760 Ha/atom. Number 3: total DFT energy (no corrections) -0.1649 Ha/atom. Number 4: total DFT energy (no corrections) -0.2451 Ha/atom. Number 5: total DFT energy (no corrections) -0.2302 Ha/atom. Number 6: total DFT energy (no corrections) -0.2097 Ha/atom.